<one>
VASP calculation (r2SCAN) on an optimized crystal structure of V2O3F.

CIF file:
```
data_V2O3F
_space_group_name_H-M_alt 'C 1 2 1'
_space_group_IT_number 5
_space_group_name_Hall 'C 2y'
_cell_length_a 8.644
_cell_length_b 6.660
_cell_length_c 8.646
_cell_angle_alpha 90.00
_cell_angle_beta 93.83
_cell_angle_gamma 90.00
loop_
_atom_site_label
_atom_site_type_symbol
_atom_site_fract_x
_atom_site_fract_y
_atom_site_fract_z
V1 V 0.000 0.000 0.000
V2 V 0.000 0.439 0.500
V3 V 0.123 0.977 0.626
V4 V 0.128 0.465 0.124
V5 V 0.246 0.433 0.747
O1 O 0.000 0.158 0.500
O2 O 0.000 0.267 0.000
O3 O 0.025 0.461 0.728
O4 O 0.029 0.956 0.226
O5 O 0.225 0.960 0.028
O6 O 0.229 0.455 0.525
O7 O 0.246 0.153 0.750
F1 F 0.000 0.668 0.000
F2 F 0.000 0.757 0.500
F3 F 0.250 0.258 0.251
```

Calculated values
Its magnetization is 24.0 μB per cell.

<two>
VASP calculation (r2SCAN) on an optimized crystal structure of V2O3F.

CIF file:
```
data_V2O3F
_space_group_name_H-M_alt 'C m c m'
_space_group_IT_number 63
_space_group_name_Hall '-C 2c 2'
_cell_length_a 6.262
_cell_length_b 6.813
_cell_length_c 5.937
_cell_angle_alpha 90.00
_cell_angle_beta 90.00
_cell_angle_gamma 90.00
loop_
_atom_site_label
_atom_site_type_symbol
_atom_site_fract_x
_atom_site_fract_y
_atom_site_fract_z
V1 V 0.000 0.000 0.000
V2 V 0.000 0.451 0.250
O1 O 0.000 0.193 0.250
O2 O 0.195 0.500 0.000
F1 F 0.000 0.197 0.750
```

Calculated values
Its magnetization is 12.0 μB per cell.

Ranked by calculated energy, most stable first: <one>, <two>.